A relaxed Lu15C19 crystal, computed with PBE-GGA.

a = 7.926 Å, b = 7.926 Å, c = 15.171 Å
α = 90.00°, β = 90.00°, γ = 90.00°
Positions (direct):
1 Lu 0.000 0.000 0.000
2 Lu 0.000 0.000 0.332
3 Lu 0.000 0.000 0.668
4 Lu 0.093 0.297 0.500
5 Lu 0.098 0.716 0.149
6 Lu 0.098 0.716 0.851
7 Lu 0.203 0.407 0.000
8 Lu 0.216 0.598 0.351
9 Lu 0.216 0.598 0.649
10 Lu 0.284 0.098 0.149
11 Lu 0.284 0.098 0.851
12 Lu 0.297 0.907 0.500
13 Lu 0.402 0.216 0.351
14 Lu 0.402 0.216 0.649
15 Lu 0.407 0.797 0.000
16 Lu 0.500 0.500 0.168
17 Lu 0.500 0.500 0.500
18 Lu 0.500 0.500 0.832
19 Lu 0.593 0.203 0.000
20 Lu 0.598 0.784 0.351
21 Lu 0.598 0.784 0.649
22 Lu 0.703 0.093 0.500
23 Lu 0.716 0.902 0.149
24 Lu 0.716 0.902 0.851
25 Lu 0.784 0.402 0.351
26 Lu 0.784 0.402 0.649
27 Lu 0.797 0.593 0.000
28 Lu 0.902 0.284 0.149
29 Lu 0.902 0.284 0.851
30 Lu 0.907 0.703 0.500
31 C 0.000 0.000 0.163
32 C 0.000 0.000 0.500
33 C 0.000 0.000 0.837
34 C 0.094 0.303 0.333
35 C 0.094 0.303 0.667
36 C 0.103 0.698 0.000
37 C 0.151 0.349 0.250
38 C 0.151 0.349 0.750
39 C 0.197 0.406 0.167
40 C 0.197 0.406 0.833
41 C 0.198 0.603 0.500
42 C 0.302 0.103 0.000
43 C 0.303 0.906 0.333
44 C 0.303 0.906 0.667
45 C 0.349 0.849 0.250
46 C 0.349 0.849 0.750
47 C 0.397 0.198 0.500
48 C 0.406 0.803 0.167
49 C 0.406 0.803 0.833
50 C 0.500 0.500 0.000
51 C 0.500 0.500 0.337
52 C 0.500 0.500 0.663
53 C 0.594 0.197 0.167
54 C 0.594 0.197 0.833
55 C 0.603 0.802 0.500
56 C 0.651 0.151 0.250
57 C 0.651 0.151 0.750
58 C 0.697 0.094 0.333
59 C 0.697 0.094 0.667
60 C 0.698 0.897 0.000
61 C 0.802 0.397 0.500
62 C 0.803 0.594 0.167
63 C 0.803 0.594 0.833
64 C 0.849 0.651 0.250
65 C 0.849 0.651 0.750
66 C 0.897 0.302 0.000
67 C 0.906 0.697 0.333
68 C 0.906 0.697 0.667

Computed properties:
total magnetization: 0.3 μB/cell
uncorrected energy: -7.52 eV per atom